# CeSe2 | Materials Project | PBE-GGA | relaxed
# energy relative to the elements: -4.213 eV/f.u.
# total magnetic moment: 0.00 μB/cell
# total DFT energy (no corrections): -259.1 eV for the cell shown
data_CeSe2
_space_group_name_H-M_alt 'P -1'
_space_group_IT_number 2
_space_group_name_Hall '-P 1'
_cell_length_a 14.734
_cell_length_b 14.889
_cell_length_c 17.161
_cell_angle_alpha 64.86
_cell_angle_beta 65.11
_cell_angle_gamma 89.99
loop_
_atom_site_label
_atom_site_type_symbol
_atom_site_fract_x
_atom_site_fract_y
_atom_site_fract_z
Ce1 Ce 0.107 0.182 0.187
Ce2 Ce 0.132 0.609 0.687
Ce3 Ce 0.182 0.108 0.687
Ce4 Ce 0.205 0.631 0.187
Ce5 Ce 0.296 0.319 0.812
Ce6 Ce 0.319 0.296 0.312
Ce7 Ce 0.370 0.796 0.313
Ce8 Ce 0.392 0.869 0.813
Se1 Se 0.004 0.528 0.303
Se2 Se 0.013 0.988 0.250
Se3 Se 0.029 0.694 0.803
Se4 Se 0.168 0.194 0.803
Se5 Se 0.194 0.169 0.303
Se6 Se 0.237 0.763 0.250
Se7 Se 0.242 0.750 0.000
Se8 Se 0.250 0.258 0.501
Se9 Se 0.250 0.758 0.500
Se10 Se 0.258 0.250 0.001
Se11 Se 0.263 0.512 0.750
Se12 Se 0.306 0.972 0.697
Se13 Se 0.331 0.497 0.197
Se14 Se 0.471 0.996 0.198
Se15 Se 0.487 0.738 0.750
Se16 Se 0.496 0.330 0.698


# Te3MoWS | Materials Project | PBE-GGA | relaxed
# energy relative to the elements: -2.093 eV/f.u.
# total magnetic moment: 0.00 μB/cell
# distance to the lowest polymorph of the same formula: 34.3 meV/atom
# total DFT energy (no corrections): -77.9 eV for the cell shown
data_Te3MoWS
_space_group_name_H-M_alt 'P 3 m 1'
_space_group_IT_number 156
_space_group_name_Hall 'P 3 -2"'
_cell_length_a 3.4561
_cell_length_b 3.4561
_cell_length_c 39.3377
_cell_angle_alpha 90.00
_cell_angle_beta 90.00
_cell_angle_gamma 120.00
loop_
_atom_site_label
_atom_site_type_symbol
_atom_site_fract_x
_atom_site_fract_y
_atom_site_fract_z
Te1 Te 0.0000 0.0000 0.0000
Te2 Te 0.0000 0.0000 0.0945
Te3 Te 0.0000 0.0000 0.3761
Te4 Te 0.0000 0.0000 0.4701
Te5 Te 0.3333 0.6667 0.1880
Te6 Te 0.3333 0.6667 0.2824
Mo1 Mo 0.0000 0.0000 0.8595
Mo2 Mo 0.3333 0.6667 0.4231
W1 W 0.0000 0.0000 0.2352
W2 W 0.3333 0.6667 0.0472
S1 S 0.3333 0.6667 0.8216
S2 S 0.3333 0.6667 0.8973


# US2O9 | Materials Project | PBE-GGA | relaxed
# energy relative to the elements: -28.223 eV/f.u.
# distance to the lowest polymorph of the same formula: 5.9 meV/atom
# total DFT energy (no corrections): -172.3 eV for the cell shown
data_US2O9
_space_group_name_H-M_alt 'P -1'
_space_group_IT_number 2
_space_group_name_Hall '-P 1'
_cell_length_a 6.656
_cell_length_b 6.977
_cell_length_c 8.180
_cell_angle_alpha 87.30
_cell_angle_beta 80.18
_cell_angle_gamma 74.96
loop_
_atom_site_label
_atom_site_type_symbol
_atom_site_fract_x
_atom_site_fract_y
_atom_site_fract_z
U1 U 0.205 0.198 0.252
S1 S 0.016 0.749 0.150
S2 S 0.392 0.257 0.645
O1 O 0.024 0.283 0.015
O2 O 0.029 0.793 0.602
O3 O 0.101 0.564 0.234
O4 O 0.136 0.896 0.149
O5 O 0.207 0.141 0.740
O6 O 0.330 0.312 0.482
O7 O 0.386 0.417 0.749
O8 O 0.420 0.910 0.370
O9 O 0.439 0.194 0.109


# Dy2Ni3B6 | Materials Project | PBE-GGA | relaxed
# energy relative to the elements: -6.252 eV/f.u.
# total magnetic moment: 0.11 μB/cell
# total DFT energy (no corrections): -145.8 eV for the cell shown
data_Dy2Ni3B6
_space_group_name_H-M_alt 'C m m m'
_space_group_IT_number 65
_space_group_name_Hall '-C 2 2'
_cell_length_a 7.680
_cell_length_b 8.643
_cell_length_c 3.472
_cell_angle_alpha 90.00
_cell_angle_beta 90.00
_cell_angle_gamma 90.00
loop_
_atom_site_label
_atom_site_type_symbol
_atom_site_fract_x
_atom_site_fract_y
_atom_site_fract_z
Dy1 Dy 0.000 0.223 0.000
Ni1 Ni 0.000 0.500 0.500
Ni2 Ni 0.226 0.500 0.000
B1 B 0.113 0.000 0.500
B2 B 0.235 0.350 0.500


# Gd2Te4O11 | Materials Project | PBE-GGA | relaxed
# energy relative to the elements: -38.376 eV/f.u.
# total magnetic moment: 28.00 μB/cell
# distance to the lowest polymorph of the same formula: 22.3 meV/atom
# total DFT energy (no corrections): -251.9 eV for the cell shown
data_Gd2Te4O11
_space_group_name_H-M_alt 'P 1'
_space_group_IT_number 1
_space_group_name_Hall 'P 1'
_cell_length_a 5.225
_cell_length_b 6.825
_cell_length_c 16.202
_cell_angle_alpha 79.82
_cell_angle_beta 80.72
_cell_angle_gamma 67.49
loop_
_atom_site_label
_atom_site_type_symbol
_atom_site_fract_x
_atom_site_fract_y
_atom_site_fract_z
Gd1 Gd 0.000 0.000 0.000
Gd2 Gd 0.228 0.110 0.422
Gd3 Gd 0.494 0.512 0.496
Gd4 Gd 0.740 0.597 0.924
Te1 Te 0.025 0.690 0.332
Te2 Te 0.033 0.346 0.660
Te3 Te 0.268 0.769 0.759
Te4 Te 0.281 0.413 0.087
Te5 Te 0.459 0.196 0.833
Te6 Te 0.467 0.847 0.156
Te7 Te 0.710 0.259 0.264
Te8 Te 0.715 0.928 0.586
O1 O 0.012 0.052 0.713
O2 O 0.055 0.612 0.006
O3 O 0.061 0.178 0.291
O4 O 0.063 0.669 0.586
O5 O 0.127 0.274 0.907
O6 O 0.181 0.181 0.087
O7 O 0.207 0.771 0.404
O8 O 0.253 0.264 0.559
O9 O 0.311 0.854 0.865
O10 O 0.425 0.749 0.059
O11 O 0.477 0.347 0.364
O12 O 0.526 0.841 0.516
O13 O 0.555 0.432 0.834
O14 O 0.613 0.339 0.011
O15 O 0.671 0.427 0.630
O16 O 0.685 0.937 0.334
O17 O 0.687 0.999 0.913
O18 O 0.717 0.556 0.213
O19 O 0.784 0.929 0.128
O20 O 0.821 0.120 0.509
O21 O 0.901 0.498 0.416
O22 O 0.950 0.678 0.791


# Pr4Se3N2 | Materials Project | PBE-GGA | relaxed
# energy relative to the elements: -16.086 eV/f.u.
# total DFT energy (no corrections): -246.6 eV for the cell shown
data_Pr4Se3N2
_space_group_name_H-M_alt 'C 1 2/c 1'
_space_group_IT_number 15
_space_group_name_Hall '-C 2yc'
_cell_length_a 13.281
_cell_length_b 10.313
_cell_length_c 6.557
_cell_angle_alpha 90.00
_cell_angle_beta 90.23
_cell_angle_gamma 90.00
loop_
_atom_site_label
_atom_site_type_symbol
_atom_site_fract_x
_atom_site_fract_y
_atom_site_fract_z
Pr1 Pr 0.126 0.183 0.470
Pr2 Pr 0.165 0.420 0.928
Se1 Se 0.000 0.403 0.250
Se2 Se 0.116 0.131 0.965
N1 N 0.205 0.376 0.585


> What is the energy relative to the elements in the fourth record?

-6.252 eV/f.u.


> Which formula does entry 4 have?

Dy2Ni3B6


What did the sixth record say?
# Pr4Se3N2 | Materials Project | PBE-GGA | relaxed
# energy relative to the elements: -16.086 eV/f.u.
# total DFT energy (no corrections): -246.6 eV for the cell shown
data_Pr4Se3N2
_space_group_name_H-M_alt 'C 1 2/c 1'
_space_group_IT_number 15
_space_group_name_Hall '-C 2yc'
_cell_length_a 13.281
_cell_length_b 10.313
_cell_length_c 6.557
_cell_angle_alpha 90.00
_cell_angle_beta 90.23
_cell_angle_gamma 90.00
loop_
_atom_site_label
_atom_site_type_symbol
_atom_site_fract_x
_atom_site_fract_y
_atom_site_fract_z
Pr1 Pr 0.126 0.183 0.470
Pr2 Pr 0.165 0.420 0.928
Se1 Se 0.000 0.403 0.250
Se2 Se 0.116 0.131 0.965
N1 N 0.205 0.376 0.585


> Look up the energy relative to the elements of the fifth one.

-38.376 eV/f.u.